--- A ---
## CrFeCoNi (PBE-GGA)

Data for CrFeCoNi after structural relaxation.

abc: 9.984 9.987 9.997
angles: 90.00 60.08 60.03
Space group P1 (No. 1)
Asymmetric unit:
Cr1 0.000 0.000 0.000 [1 per cell]
Cr2 0.000 0.499 0.004 [1 per cell]
Cr3 0.003 0.243 0.236 [1 per cell]
Cr4 0.005 0.744 0.238 [1 per cell]
Cr5 0.250 0.253 0.251 [1 per cell]
Cr6 0.251 0.001 0.746 [1 per cell]
Cr7 0.252 0.250 0.991 [1 per cell]
Cr8 0.254 0.498 0.746 [1 per cell]
Cr9 0.494 0.000 0.993 [1 per cell]
Cr10 0.497 0.999 0.502 [1 per cell]
Cr11 0.505 0.998 0.743 [1 per cell]
Cr12 0.748 0.501 0.498 [1 per cell]
Cr13 0.748 0.750 0.497 [1 per cell]
Cr14 0.749 0.499 0.997 [1 per cell]
Cr15 0.750 0.997 0.248 [1 per cell]
Cr16 0.999 0.751 0.498 [1 per cell]
Fe1 0.000 0.250 0.497 [1 per cell]
Fe2 0.000 0.499 0.246 [1 per cell]
Fe3 0.000 0.749 0.747 [1 per cell]
Fe4 0.000 0.999 0.499 [1 per cell]
Fe5 0.002 0.500 0.496 [1 per cell]
Fe6 0.004 0.997 0.243 [1 per cell]
Fe7 0.248 0.502 0.247 [1 per cell]
Fe8 0.254 0.747 0.496 [1 per cell]
Fe9 0.500 0.499 0.994 [1 per cell]
Fe10 0.500 0.749 0.497 [1 per cell]
Fe11 0.502 0.251 0.495 [1 per cell]
Fe12 0.504 0.495 0.247 [1 per cell]
Fe13 0.748 0.003 0.998 [1 per cell]
Fe14 0.748 0.498 0.253 [1 per cell]
Fe15 0.750 0.253 0.495 [1 per cell]
Fe16 0.751 0.749 0.249 [1 per cell]
Co1 0.001 0.248 0.997 [1 per cell]
Co2 0.003 0.001 0.747 [1 per cell]
Co3 0.247 0.251 0.751 [1 per cell]
Co4 0.248 0.001 0.998 [1 per cell]
Co5 0.248 0.752 0.998 [1 per cell]
Co6 0.250 0.499 0.995 [1 per cell]
Co7 0.251 0.749 0.747 [1 per cell]
Co8 0.251 0.999 0.495 [1 per cell]
Co9 0.497 0.751 0.999 [1 per cell]
Co10 0.498 0.501 0.746 [1 per cell]
Co11 0.499 0.500 0.498 [1 per cell]
Co12 0.501 0.747 0.246 [1 per cell]
Co13 0.503 0.246 0.243 [1 per cell]
Co14 0.749 0.999 0.749 [1 per cell]
Co15 0.753 0.248 0.243 [1 per cell]
Co16 0.754 0.246 0.997 [1 per cell]
Ni1 0.001 0.750 0.997 [1 per cell]
Ni2 0.002 0.248 0.746 [1 per cell]
Ni3 0.002 0.499 0.746 [1 per cell]
Ni4 0.251 0.750 0.246 [1 per cell]
Ni5 0.251 0.999 0.245 [1 per cell]
Ni6 0.253 0.247 0.496 [1 per cell]
Ni7 0.253 0.498 0.495 [1 per cell]
Ni8 0.499 0.251 0.998 [1 per cell]
Ni9 0.499 0.750 0.747 [1 per cell]
Ni10 0.502 0.248 0.745 [1 per cell]
Ni11 0.502 0.997 0.245 [1 per cell]
Ni12 0.749 0.750 0.998 [1 per cell]
Ni13 0.750 0.249 0.747 [1 per cell]
Ni14 0.750 0.749 0.749 [1 per cell]
Ni15 0.751 0.500 0.745 [1 per cell]
Ni16 0.752 0.000 0.495 [1 per cell]

volume	706.0	Å³/cell

---

--- B ---
## CrFeCoNi (PBE-GGA)

Data for CrFeCoNi after structural relaxation.

abc: 4.370 4.013 5.040
angles: 90.00 90.37 90.00
Space group Pm (No. 6)
Asymmetric unit:
Cr1 0.000 0.000 0.000 [1 per cell]
Cr2 0.327 0.500 0.502 [1 per cell]
Fe1 0.491 0.000 0.250 [1 per cell]
Fe2 0.833 0.500 0.244 [1 per cell]
Co1 0.335 0.500 0.995 [1 per cell]
Co2 0.828 0.500 0.746 [1 per cell]
Ni1 0.499 0.000 0.752 [1 per cell]
Ni2 0.994 0.000 0.502 [1 per cell]

volume	88.4	Å³/cell

---

Most stable: B

---

--- A ---
## ZrCrCo (PBE-GGA)

Data for ZrCrCo after structural relaxation.

abc: 8.312 5.000 8.367
angles: 90.00 90.00 90.00
Space group Amm2 (No. 38)
Asymmetric unit:
Zr1 0.184 0.000 0.000 [4 per cell]
Zr2 0.311 0.000 0.666 [4 per cell]
Cr1 0.000 0.000 0.489 [2 per cell]
Cr2 0.500 0.000 0.160 [2 per cell]
Cr3 0.500 0.248 0.916 [4 per cell]
Co1 0.000 0.247 0.738 [4 per cell]
Co2 0.243 0.000 0.336 [4 per cell]

volume	347.7	Å³/cell

---

--- B ---
## ZrCrCo (PBE-GGA)

Data for ZrCrCo after structural relaxation.

abc: 7.886 4.966 8.809
angles: 90.00 90.00 90.00
Space group Amm2 (No. 38)
Asymmetric unit:
Zr1 0.184 0.000 0.000 [4 per cell]
Zr2 0.307 0.000 0.668 [4 per cell]
Cr1 0.249 0.000 0.337 [4 per cell]
Cr2 0.500 0.249 0.917 [4 per cell]
Co1 0.000 0.000 0.502 [2 per cell]
Co2 0.000 0.249 0.251 [4 per cell]
Co3 0.500 0.000 0.162 [2 per cell]

volume	345.0	Å³/cell

---

Most stable: A

---

--- A ---
## Dy3In4Co2 (PBE-GGA)

Data for Dy3In4Co2 after structural relaxation.

abc: 8.1823 8.1823 3.4985
angles: 90.00 90.00 120.00
Space group P-6 (No. 174)
Asymmetric unit:
Dy1 0.0844 0.4061 0.0000 [3 per cell]
In1 0.0000 0.0000 0.0000 [1 per cell]
In2 0.3876 0.2981 0.5000 [3 per cell]
Co1 0.3333 0.6667 0.5000 [1 per cell]
Co2 0.6667 0.3333 0.0000 [1 per cell]

volume	202.8	Å³/cell

---

--- B ---
## Dy3In4Co2 (PBE-GGA)

Data for Dy3In4Co2 after structural relaxation.

abc: 7.8798 7.8798 3.5886
angles: 90.00 90.00 120.00
Space group P-6 (No. 174)
Asymmetric unit:
Dy1 0.0408 0.4171 0.0000 [3 per cell]
In1 0.2548 0.2522 0.5000 [3 per cell]
In2 0.6667 0.3333 0.5000 [1 per cell]
Co1 0.0000 0.0000 0.0000 [1 per cell]
Co2 0.3333 0.6667 0.5000 [1 per cell]

volume	193.0	Å³/cell

---

Most stable: B

---

--- A ---
## Er7Co6Sn23 (PBE-GGA)

Data for Er7Co6Sn23 after structural relaxation.

abc: 9.6841 9.6841 9.9516
angles: 90.00 90.00 120.00
Space group P-3m1 (No. 164)
Asymmetric unit:
Er1 0.0000 0.0000 0.0000 [1 per cell]
Er2 0.0418 0.5209 0.3059 [6 per cell]
Co1 0.1676 0.3353 0.8023 [6 per cell]
Sn1 0.0000 0.0000 0.5000 [1 per cell]
Sn2 0.0000 0.3458 0.0000 [6 per cell]
Sn3 0.1183 0.2366 0.2749 [6 per cell]
Sn4 0.2192 0.4383 0.5474 [6 per cell]
Sn5 0.3333 0.6667 0.1184 [2 per cell]
Sn6 0.3333 0.6667 0.8178 [2 per cell]

volume	808.2	Å³/cell

---

--- B ---
## Er7Co6Sn23 (PBE-GGA)

Data for Er7Co6Sn23 after structural relaxation.

abc: 10.0694 10.0694 10.9663
angles: 90.00 90.00 120.00
Space group P-3m1 (No. 164)
Asymmetric unit:
Er1 0.0000 0.0000 0.0000 [1 per cell]
Er2 0.0487 0.5244 0.2890 [6 per cell]
Co1 0.1936 0.3871 0.1496 [6 per cell]
Sn1 0.0000 0.0000 0.5000 [1 per cell]
Sn2 0.0000 0.3477 0.0000 [6 per cell]
Sn3 0.1167 0.2333 0.3230 [6 per cell]
Sn4 0.2281 0.4562 0.5568 [6 per cell]
Sn5 0.3333 0.6667 0.1090 [2 per cell]
Sn6 0.3333 0.6667 0.7988 [2 per cell]

volume	962.9	Å³/cell

---

Most stable: A